Density functional theory data (PBE) for crystalline HfSb at its relaxed geometry.

Output
Formation energy from the elements: -0.6373 eV per atom

```
data_HfSb
_space_group_name_H-M_alt 'C m c m'
_space_group_IT_number 63
_space_group_name_Hall '-C 2c 2'
_cell_length_a 3.770
_cell_length_b 10.469
_cell_length_c 14.067
_cell_angle_alpha 90.00
_cell_angle_beta 90.00
_cell_angle_gamma 90.00
loop_
_atom_site_label
_atom_site_type_symbol
_atom_site_fract_x
_atom_site_fract_y
_atom_site_fract_z
Hf1 Hf 0.000 0.072 0.108
Hf2 Hf 0.000 0.388 0.250
Sb1 Sb 0.000 0.324 0.750
Sb2 Sb 0.000 0.358 0.050
```



Density functional theory data (PBE) for crystalline BaCaHfSnO6 at its relaxed geometry.

Output
Formation energy from the elements: -3.1432 eV per atom

```
data_BaCaHfSnO6
_space_group_name_H-M_alt 'F -4 3 m'
_space_group_IT_number 216
_space_group_name_Hall 'F -4 2 3'
_cell_length_a 8.281
_cell_length_b 8.281
_cell_length_c 8.281
_cell_angle_alpha 90.00
_cell_angle_beta 90.00
_cell_angle_gamma 90.00
loop_
_atom_site_label
_atom_site_type_symbol
_atom_site_fract_x
_atom_site_fract_y
_atom_site_fract_z
Ba1 Ba 0.000 0.000 0.000
Ca1 Ca 0.000 0.000 0.500
Hf1 Hf 0.250 0.250 0.750
Sn1 Sn 0.250 0.250 0.250
O1 O 0.000 0.250 0.250
```



Density functional theory data (PBE) for crystalline Ga at its relaxed geometry.

Output
Excess energy over the best structure of this formula in the dataset: 0.00 kJ/mol of atoms
Formation energy from the elements: 0.0000 eV per atom

```
data_Ga
_space_group_name_H-M_alt 'C m c e'
_space_group_IT_number 64
_space_group_name_Hall '-C 2ac 2'
_cell_length_a 4.531
_cell_length_b 7.751
_cell_length_c 4.593
_cell_angle_alpha 90.00
_cell_angle_beta 90.00
_cell_angle_gamma 90.00
loop_
_atom_site_label
_atom_site_type_symbol
_atom_site_fract_x
_atom_site_fract_y
_atom_site_fract_z
Ga1 Ga 0.000 0.156 0.081
```



Density functional theory data (PBE) for crystalline Ca11Si4SO18 at its relaxed geometry.

Output
Formation energy from the elements: -3.3682 eV per atom

```
data_Ca11Si4SO18
_space_group_name_H-M_alt 'I -4 m 2'
_space_group_IT_number 119
_space_group_name_Hall 'I -4 -2'
_cell_length_a 10.540
_cell_length_b 10.540
_cell_length_c 8.908
_cell_angle_alpha 90.00
_cell_angle_beta 90.00
_cell_angle_gamma 90.00
loop_
_atom_site_label
_atom_site_type_symbol
_atom_site_fract_x
_atom_site_fract_y
_atom_site_fract_z
Ca1 Ca 0.000 0.000 0.000
Ca2 Ca 0.000 0.242 0.692
Ca3 Ca 0.000 0.255 0.294
Ca4 Ca 0.000 0.500 0.504
Si1 Si 0.211 0.211 0.000
S1 S 0.000 0.000 0.500
O1 O 0.000 0.500 0.250
O2 O 0.000 0.500 0.750
O3 O 0.136 0.318 0.496
O4 O 0.144 0.145 0.851
```



Density functional theory data (PBE) for crystalline Li2AcSn at its relaxed geometry.

Output
Formation energy from the elements: -0.4055 eV per atom

```
data_Li2AcSn
_space_group_name_H-M_alt 'F m -3 m'
_space_group_IT_number 225
_space_group_name_Hall '-F 4 2 3'
_cell_length_a 7.238
_cell_length_b 7.238
_cell_length_c 7.238
_cell_angle_alpha 90.00
_cell_angle_beta 90.00
_cell_angle_gamma 90.00
loop_
_atom_site_label
_atom_site_type_symbol
_atom_site_fract_x
_atom_site_fract_y
_atom_site_fract_z
Li1 Li 0.250 0.250 0.250
Ac1 Ac 0.000 0.000 0.000
Sn1 Sn 0.000 0.000 0.500
```



Density functional theory data (PBE) for crystalline Lu9B5S21 at its relaxed geometry.

Output
Formation energy from the elements: -1.7145 eV per atom

```
data_Lu9B5S21
_space_group_name_H-M_alt 'R 3'
_space_group_IT_number 146
_space_group_name_Hall 'R 3'
_cell_length_a 16.0172
_cell_length_b 16.0172
_cell_length_c 17.8153
_cell_angle_alpha 90.00
_cell_angle_beta 90.00
_cell_angle_gamma 120.00
loop_
_atom_site_label
_atom_site_type_symbol
_atom_site_fract_x
_atom_site_fract_y
_atom_site_fract_z
Lu1 Lu 0.0223 0.2056 0.0000
Lu2 Lu 0.0247 0.1920 0.6520
Lu3 Lu 0.0252 0.2071 0.3209
Lu4 Lu 0.1509 0.6912 0.4879
Lu5 Lu 0.1520 0.6922 0.1663
Lu6 Lu 0.1649 0.6895 0.8186
B1 B 0.0000 0.0000 0.2836
B2 B 0.0000 0.0000 0.4562
B3 B 0.0000 0.0000 0.7837
B4 B 0.0000 0.0000 0.9564
B5 B 0.9997 0.6635 0.6844
B6 B 0.0036 0.3348 0.5178
S1 S 0.0094 0.3383 0.4068
S2 S 0.0087 0.6723 0.9068
S3 S 0.0105 0.5620 0.3931
S4 S 0.0124 0.1189 0.4607
S5 S 0.0126 0.1188 0.7925
S6 S 0.0144 0.1348 0.1304
S7 S 0.0136 0.5600 0.7274
S8 S 0.0192 0.5667 0.0609
S9 S 0.1149 0.3435 0.8945
S10 S 0.1177 0.3514 0.2258
S11 S 0.1186 0.1063 0.2924
S12 S 0.1187 0.1068 0.9610
S13 S 0.1218 0.3479 0.5612
S14 S 0.1354 0.1198 0.6302
```